Entry 1:
Material: LiVF3
Method: DFT, PBE with a Hubbard U
State: relaxed

Output
space-group type	P2_13, No. 198
offset from the most stable computed form	0.019	eV/atom
ΔH_f (0 K)	-3.03	eV per atom
total magnetic moment	0.600	μB per atom

Cell lengths 6.1664, 6.1664, 6.1664 Å; angles 90.00, 90.00, 90.00 degrees
Fractional coordinates of all 20 atoms:
Li: 0.1247 0.3753 0.6247
Li: 0.3753 0.6247 0.1247
Li: 0.6247 0.1247 0.3753
Li: 0.8753 0.8753 0.8753
V: 0.1631 0.1631 0.1631
V: 0.3369 0.8369 0.6631
V: 0.6631 0.3369 0.8369
V: 0.8369 0.6631 0.3369
F: 0.0105 0.7264 0.6278
F: 0.1278 0.4895 0.2736
F: 0.2264 0.8722 0.9895
F: 0.2736 0.1278 0.4895
F: 0.3722 0.5105 0.7736
F: 0.4895 0.2736 0.1278
F: 0.5105 0.7736 0.3722
F: 0.6278 0.0105 0.7264
F: 0.7264 0.6278 0.0105
F: 0.7736 0.3722 0.5105
F: 0.8722 0.9895 0.2264
F: 0.9895 0.2264 0.8722



Entry 2:
Material: LiCoC2O6
Method: DFT, PBE with a Hubbard U
State: relaxed

Output
space-group type	P-1, No. 2
offset from the most stable computed form	0.007	eV/atom
ΔH_f (0 K)	-1.76	eV per atom
total magnetic moment	0.002	μB per atom

Cell lengths 4.6611, 4.6658, 20.6314 Å; angles 83.58, 89.94, 60.25 degrees
Fractional coordinates of all 40 atoms:
Li: 0.1249 0.2501 0.3748
Li: 0.3738 0.7521 0.1225
Li: 0.6262 0.2479 0.8775
Li: 0.8751 0.7499 0.6252
Co: 0.0000 0.5000 0.0000
Co: 0.2502 0.9995 0.7507
Co: 0.5000 0.5000 0.5000
Co: 0.7498 0.0005 0.2493
C: 0.0639 0.3726 0.1906
C: 0.1860 0.1279 0.5586
C: 0.3125 0.8744 0.9427
C: 0.4357 0.6283 0.3080
C: 0.5643 0.3717 0.6920
C: 0.6875 0.1256 0.0573
C: 0.8140 0.8721 0.4414
C: 0.9361 0.6274 0.8094
O: 0.0425 0.1586 0.9418
O: 0.0561 0.0997 0.1904
O: 0.0944 0.8652 0.4411
O: 0.1553 0.6352 0.3083
O: 0.1938 0.4009 0.5586
O: 0.2088 0.3478 0.8097
O: 0.2918 0.6512 0.6917
O: 0.2937 0.6047 0.9428
O: 0.3444 0.3657 0.1903
O: 0.4037 0.1408 0.0584
O: 0.4436 0.9014 0.3079
O: 0.4586 0.8483 0.5589
O: 0.5414 0.1517 0.4411
O: 0.5564 0.0986 0.6921
O: 0.5963 0.8592 0.9416
O: 0.6556 0.6343 0.8097
O: 0.7063 0.3953 0.0572
O: 0.7082 0.3488 0.3083
O: 0.7912 0.6522 0.1903
O: 0.8062 0.5991 0.4414
O: 0.8447 0.3648 0.6917
O: 0.9056 0.1348 0.5589
O: 0.9439 0.9003 0.8096
O: 0.9575 0.8414 0.0582



Entry 3:
Material: Mn5O7
Method: DFT, PBE with a Hubbard U
State: relaxed

Output
space-group type	Cmcm, No. 63
ΔH_f (0 K)	-1.80	eV per atom
total magnetic moment	1.750	μB per atom

Cell lengths 5.3743, 5.3743, 18.8248 Å; angles 90.00, 90.00, 147.15 degrees
Fractional coordinates of all 24 atoms:
Mn: 0.0000 0.0000 0.0000
Mn: 0.0000 0.0000 0.5000
Mn: 0.2679 0.7321 0.5761
Mn: 0.2679 0.7321 0.9239
Mn: 0.4717 0.5283 0.1581
Mn: 0.4717 0.5283 0.3419
Mn: 0.5283 0.4717 0.6581
Mn: 0.5283 0.4717 0.8419
Mn: 0.7321 0.2679 0.0761
Mn: 0.7321 0.2679 0.4239
O: 0.0928 0.9072 0.1051
O: 0.0928 0.9072 0.3949
O: 0.1483 0.8517 0.6563
O: 0.1483 0.8517 0.8437
O: 0.3573 0.6427 0.0258
O: 0.3573 0.6427 0.4742
O: 0.4619 0.5381 0.7500
O: 0.5381 0.4619 0.2500
O: 0.6427 0.3573 0.5258
O: 0.6427 0.3573 0.9742
O: 0.8517 0.1483 0.1563
O: 0.8517 0.1483 0.3437
O: 0.9072 0.0928 0.6051
O: 0.9072 0.0928 0.8949



Entry 4:
Material: Li6V3P8O29
Method: DFT, PBE with a Hubbard U
State: relaxed

Output
space-group type	P1, No. 1
offset from the most stable computed form	0.006	eV/atom
ΔH_f (0 K)	-2.66	eV per atom
total magnetic moment	0.065	μB per atom

Cell lengths 9.7869, 9.8033, 13.9916 Å; angles 90.04, 90.37, 119.63 degrees
Fractional coordinates of all 92 atoms:
Li: 0.0000 0.0000 0.0000
Li: 0.9999 0.1336 0.5141
Li: 0.1021 0.9137 0.3916
Li: 0.2357 0.9024 0.8800
Li: 0.2386 0.4573 0.3909
Li: 0.3485 0.2682 0.9292
Li: 0.4257 0.9995 0.5116
Li: 0.4308 0.5665 0.0022
Li: 0.5608 0.5585 0.5143
Li: 0.5630 0.1330 0.0031
Li: 0.6478 0.3226 0.3919
Li: 0.9916 0.5578 0.0561
V: 0.3298 0.6604 0.1979
V: 0.3305 0.7957 0.6963
V: 0.7610 0.2270 0.1980
V: 0.7662 0.6625 0.7008
V: 0.8919 0.7964 0.1954
V: 0.8988 0.2330 0.7023
P: 0.0011 0.5674 0.8184
P: 0.0139 0.1451 0.2921
P: 0.0166 0.0033 0.7877
P: 0.0978 0.9098 0.6048
P: 0.1056 0.3169 0.1066
P: 0.2383 0.9114 0.1032
P: 0.2396 0.4596 0.6076
P: 0.4159 0.9973 0.2881
P: 0.4192 0.5449 0.7903
P: 0.5547 0.1430 0.7909
P: 0.5641 0.5508 0.2930
P: 0.6385 0.4525 0.1078
P: 0.6461 0.3164 0.6073
P: 0.6592 0.8937 0.0741
P: 0.6648 0.8977 0.5772
P: 0.9954 0.5643 0.3173
O: 0.0001 0.5733 0.9259
O: 0.0080 0.4247 0.7772
O: 0.0745 0.8974 0.1020
O: 0.0749 0.3127 0.6059
O: 0.0816 0.2314 0.3840
O: 0.0872 0.9917 0.5160
O: 0.1105 0.0121 0.8767
O: 0.1136 0.2226 0.0257
O: 0.1237 0.0218 0.6963
O: 0.1271 0.2438 0.2059
O: 0.1425 0.5568 0.2780
O: 0.1446 0.7233 0.7813
O: 0.2181 0.7460 0.1192
O: 0.2279 0.6095 0.6245
O: 0.2475 0.8941 0.6032
O: 0.2494 0.4875 0.1067
O: 0.3264 0.0173 0.1968
O: 0.3263 0.4360 0.6982
O: 0.3281 0.9852 0.3779
O: 0.3303 0.4736 0.5178
O: 0.3315 0.9940 0.0159
O: 0.3439 0.4561 0.8802
O: 0.4102 0.5600 0.2878
O: 0.4109 0.9739 0.7835
O: 0.4139 0.6979 0.7800
O: 0.4261 0.8468 0.2684
O: 0.5157 0.7399 0.1132
O: 0.5160 0.9031 0.6173
O: 0.5342 0.4429 0.0271
O: 0.5354 0.2300 0.6977
O: 0.5357 0.2167 0.8807
O: 0.5479 0.4337 0.2070
O: 0.5687 0.2258 0.5170
O: 0.5758 0.4780 0.3846
O: 0.5808 0.1456 0.2880
O: 0.5860 0.5719 0.7813
O: 0.6519 0.0391 0.1142
O: 0.6601 0.7446 0.6165
O: 0.6602 0.8981 0.4700
O: 0.6644 0.4811 0.6053
O: 0.6670 0.3087 0.1073
O: 0.6681 0.8931 0.9679
O: 0.7079 0.7117 0.2728
O: 0.7093 0.1420 0.7812
O: 0.8029 0.6025 0.1144
O: 0.8052 0.3239 0.6261
O: 0.8144 0.9003 0.1186
O: 0.8170 0.0442 0.6172
O: 0.8419 0.4155 0.2786
O: 0.8502 0.5624 0.7741
O: 0.8526 0.1338 0.2676
O: 0.8604 0.8501 0.7802
O: 0.9508 0.7513 0.6211
O: 0.9557 0.3319 0.1157
O: 0.9916 0.1466 0.7832
O: 0.9964 0.7137 0.2709
O: 0.9985 0.9816 0.2890
O: 0.9986 0.5746 0.4234



Entry 5:
Material: Li3Co4SnO8
Method: DFT, PBE with a Hubbard U
State: relaxed

Output
space-group type	P-1, No. 2
offset from the most stable computed form	0.003	eV/atom
ΔH_f (0 K)	-1.70	eV per atom
total magnetic moment	0.625	μB per atom

Cell lengths 6.0810, 6.1056, 8.5158 Å; angles 89.40, 89.92, 89.98 degrees
Fractional coordinates of all 32 atoms:
Li: 0.0000 0.0000 0.0000
Li: 0.2492 0.2496 0.2506
Li: 0.2494 0.7516 0.7497
Li: 0.5000 0.5000 0.5000
Li: 0.7506 0.2484 0.2503
Li: 0.7508 0.7504 0.7494
Co: 0.0000 0.5000 0.0000
Co: 0.0000 0.5000 0.5000
Co: 0.2497 0.2497 0.7499
Co: 0.2496 0.7499 0.2490
Co: 0.5000 0.0000 0.0000
Co: 0.5000 0.0000 0.5000
Co: 0.7504 0.2501 0.7510
Co: 0.7503 0.7503 0.2501
Sn: 0.0000 0.0000 0.5000
Sn: 0.5000 0.5000 0.0000
O: 0.0037 0.9919 0.2558
O: 0.0195 0.5249 0.2520
O: 0.2430 0.2426 0.5008
O: 0.2442 0.7557 0.4982
O: 0.2542 0.2592 0.9993
O: 0.2564 0.7459 0.0013
O: 0.4822 0.9753 0.2501
O: 0.4964 0.5082 0.2434
O: 0.5036 0.4918 0.7566
O: 0.5178 0.0247 0.7499
O: 0.7436 0.2541 0.9987
O: 0.7458 0.7408 0.0007
O: 0.7558 0.2443 0.5018
O: 0.7570 0.7574 0.4992
O: 0.9805 0.4751 0.7480
O: 0.9963 0.0081 0.7442



Entry 6:
Material: TeWNCl4F5
Method: DFT, PBE with a Hubbard U
State: relaxed

Output
space-group type	P-1, No. 2
ΔH_f (0 K)	-1.32	eV per atom
total magnetic moment	0.000	μB per atom

Cell lengths 6.3915, 6.4138, 14.2986 Å; angles 83.87, 86.54, 80.90 degrees
Fractional coordinates of all 24 atoms:
Te: 0.2435 0.2963 0.3719
Te: 0.7565 0.7037 0.6281
W: 0.4652 0.5234 0.1430
W: 0.5348 0.4766 0.8570
N: 0.3487 0.3981 0.2451
N: 0.6513 0.6019 0.7549
Cl: 0.1740 0.7703 0.0981
Cl: 0.2072 0.6921 0.8585
Cl: 0.3639 0.3049 0.0287
Cl: 0.3879 0.2193 0.7961
Cl: 0.6121 0.7807 0.2039
Cl: 0.6361 0.6951 0.9713
Cl: 0.7928 0.3079 0.1415
Cl: 0.8260 0.2297 0.9019
F: 0.0238 0.5406 0.6476
F: 0.1443 0.2005 0.4918
F: 0.1509 0.0670 0.3240
F: 0.3324 0.5234 0.4230
F: 0.4929 0.8707 0.6047
F: 0.5071 0.1293 0.3953
F: 0.6676 0.4766 0.5770
F: 0.8491 0.9330 0.6760
F: 0.8557 0.7995 0.5082
F: 0.9762 0.4594 0.3524



Entry 7:
Material: SrZnNiP2O8
Method: DFT, PBE with a Hubbard U
State: relaxed

Output
offset from the most stable computed form	0.000	eV/atom
ΔH_f (0 K)	-2.61	eV per atom
total magnetic moment	0.000	μB per atom

Cell lengths 6.9524, 9.3634, 10.9635 Å; angles 101.76, 98.15, 110.68 degrees
Fractional coordinates of all 52 atoms:
Zn: 0.6159 0.3528 0.0051
Zn: 0.3841 0.6472 0.4949
Zn: 0.6159 0.3528 0.5051
Zn: 0.3841 0.6472 0.9949
O: 0.1154 0.6956 0.4763
O: 0.9968 0.8671 0.6310
O: 0.2017 0.2381 0.1705
O: 0.5253 0.7908 0.1676
O: 0.8846 0.3044 0.0237
O: 0.9538 0.3689 0.3106
O: 0.0462 0.6311 0.1894
O: 0.8846 0.3044 0.5237
O: 0.0462 0.6311 0.6894
O: 0.4084 0.6017 0.8113
O: 0.2518 0.4218 0.0021
O: 0.0032 0.1329 0.8690
O: 0.2017 0.2381 0.6705
O: 0.9968 0.8671 0.1310
O: 0.5543 0.8922 0.9061
O: 0.4457 0.1078 0.5939
O: 0.7482 0.5782 0.4979
O: 0.7983 0.7619 0.8295
O: 0.7983 0.7619 0.3295
O: 0.4747 0.2092 0.3324
O: 0.4084 0.6017 0.3113
O: 0.5253 0.7908 0.6676
O: 0.7482 0.5782 0.9979
O: 0.0032 0.1329 0.3690
O: 0.9538 0.3689 0.8106
O: 0.5916 0.3983 0.6887
O: 0.1154 0.6956 0.9763
O: 0.5916 0.3983 0.1887
O: 0.5543 0.8922 0.4061
O: 0.4747 0.2092 0.8324
O: 0.2518 0.4218 0.5021
O: 0.4457 0.1078 0.0939
Ni: 0.8527 0.5606 0.8192
Ni: 0.8527 0.5606 0.3192
Ni: 0.1473 0.4394 0.6808
Ni: 0.1473 0.4394 0.1808
Sr: 0.7990 0.0512 0.1243
Sr: 0.2010 0.9488 0.8757
Sr: 0.7990 0.0512 0.6243
Sr: 0.2010 0.9488 0.3757
P: 0.9760 0.6976 0.5786
P: 0.5756 0.7634 0.3021
P: 0.0240 0.3024 0.9214
P: 0.5756 0.7634 0.8021
P: 0.0240 0.3024 0.4214
P: 0.4244 0.2366 0.6979
P: 0.9760 0.6976 0.0786
P: 0.4244 0.2366 0.1979



Entry 8:
Material: LiFeS2O8
Method: DFT, PBE with a Hubbard U
State: relaxed

Output
space-group type	Pc, No. 7
offset from the most stable computed form	0.006	eV/atom
ΔH_f (0 K)	-1.94	eV per atom
total magnetic moment	0.417	μB per atom

Cell lengths 9.2420, 9.0758, 13.7790 Å; angles 90.00, 90.32, 90.00 degrees
Fractional coordinates of all 96 atoms:
Li: 0.0000 0.0219 0.0000
Li: 0.0000 0.9781 0.5000
Li: 0.1893 0.3025 0.9998
Li: 0.1893 0.6975 0.4998
Li: 0.5144 0.0365 0.7544
Li: 0.5144 0.9635 0.2544
Li: 0.9039 0.4569 0.2481
Li: 0.9039 0.5431 0.7481
Fe: 0.0982 0.1463 0.7507
Fe: 0.0982 0.8537 0.2507
Fe: 0.3227 0.3565 0.2538
Fe: 0.3227 0.6435 0.7538
Fe: 0.5986 0.1462 0.0012
Fe: 0.5986 0.8538 0.5012
Fe: 0.8113 0.3523 0.5014
Fe: 0.8113 0.6477 0.0014
S: 0.0360 0.1864 0.3497
S: 0.0360 0.8136 0.8497
S: 0.1171 0.4351 0.6170
S: 0.1171 0.5649 0.1170
S: 0.2963 0.0639 0.1154
S: 0.2963 0.9361 0.6154
S: 0.3845 0.3144 0.8492
S: 0.3845 0.6856 0.3492
S: 0.5326 0.1835 0.4052
S: 0.5326 0.8165 0.9052
S: 0.6176 0.4344 0.1360
S: 0.6176 0.5656 0.6360
S: 0.7965 0.0649 0.6377
S: 0.7965 0.9351 0.1377
S: 0.8826 0.3144 0.9011
S: 0.8826 0.6856 0.4011
O: 0.0415 0.0187 0.3477
O: 0.0415 0.9813 0.8477
O: 0.1460 0.4743 0.2076
O: 0.1460 0.5257 0.7076
O: 0.1568 0.2798 0.6405
O: 0.1568 0.7202 0.1405
O: 0.1865 0.2438 0.3434
O: 0.1865 0.7562 0.8434
O: 0.1946 0.4889 0.5334
O: 0.1946 0.5111 0.0334
O: 0.2104 0.0205 0.0315
O: 0.2104 0.9795 0.5315
O: 0.2292 0.2575 0.8480
O: 0.2292 0.7425 0.3480
O: 0.2606 0.2226 0.1371
O: 0.2606 0.7774 0.6371
O: 0.2670 0.0235 0.7059
O: 0.2670 0.9765 0.2059
O: 0.3792 0.4780 0.8450
O: 0.3792 0.5220 0.3450
O: 0.4355 0.2762 0.9507
O: 0.4355 0.7238 0.4507
O: 0.4416 0.2382 0.4805
O: 0.4416 0.7618 0.9805
O: 0.4553 0.0477 0.1003
O: 0.4553 0.9523 0.6003
O: 0.4597 0.4472 0.1556
O: 0.4597 0.5528 0.6556
O: 0.4713 0.2480 0.7745
O: 0.4713 0.7520 0.2745
O: 0.4772 0.2156 0.3029
O: 0.4772 0.7844 0.8029
O: 0.5446 0.0150 0.4036
O: 0.5446 0.9850 0.9036
O: 0.6489 0.4754 0.5473
O: 0.6489 0.5246 0.0473
O: 0.6522 0.2775 0.1100
O: 0.6522 0.7225 0.6100
O: 0.6847 0.2428 0.4092
O: 0.6847 0.7572 0.9092
O: 0.7036 0.4785 0.2194
O: 0.7036 0.5215 0.7194
O: 0.7149 0.0152 0.7199
O: 0.7149 0.9848 0.2199
O: 0.7344 0.2537 0.9087
O: 0.7344 0.7463 0.4087
O: 0.7610 0.2205 0.6136
O: 0.7610 0.7795 0.1136
O: 0.7713 0.0251 0.0465
O: 0.7713 0.9749 0.5465
O: 0.8787 0.4798 0.9043
O: 0.8787 0.5202 0.4043
O: 0.9386 0.2793 0.8012
O: 0.9386 0.7207 0.3012
O: 0.9426 0.2462 0.2744
O: 0.9426 0.7538 0.7744
O: 0.9554 0.4463 0.6034
O: 0.9554 0.5537 0.1034
O: 0.9578 0.0497 0.6533
O: 0.9578 0.9503 0.1533
O: 0.9793 0.2181 0.4505
O: 0.9788 0.2522 0.9762
O: 0.9788 0.7478 0.4762
O: 0.9793 0.7819 0.9505